(1)
13
Lattice="5.109 0.000 0.000 -2.555 4.425 0.000 0.000 0.000 7.500" Properties=species:S:1:pos:R:3 comment="BaBe2P2O8 | the Materials Project | GGA-PBE | relaxed" total_energy_ev_per_atom=-7.31 space_group="P-3m1, No. 164" pbc="T T T"
Ba 0.000 0.000 0.000
Be 0.000 2.950 5.269
Be 2.555 1.475 2.231
P 0.000 2.950 2.190
P 2.555 1.475 5.310
O -1.245 2.231 1.587
O 0.000 2.950 3.693
O 1.245 2.231 1.587
O 0.000 4.388 1.587
O 2.555 0.037 5.913
O 1.310 2.194 5.913
O 2.555 1.475 3.807
O 3.800 2.194 5.913


(2)
5
Lattice="6.612 0.000 0.000 0.000 6.612 0.000 0.000 0.000 6.612" Properties=species:S:1:pos:R:3 comment="Ba3Bi2 | the Materials Project | GGA-PBE | relaxed" total_energy_ev_per_atom=-3.22 space_group="Pm-3m, No. 221" pbc="T T T"
Ba 0.000 0.000 3.306
Ba 0.000 3.306 0.000
Ba 3.306 0.000 0.000
Bi 0.000 0.000 0.000
Bi 3.306 3.306 3.306


(3)
10
Lattice="4.118 0.000 0.000 0.000 4.118 0.000 0.000 0.000 14.013" Properties=species:S:1:pos:R:3 comment="BaBiBrO2 | the Materials Project | GGA-PBE | relaxed" total_energy_ev_per_atom=-5.31 space_group="I4mm, No. 107" pbc="T T T"
Ba 0.000 0.000 0.000
Ba 2.059 2.059 7.006
Bi 0.000 0.000 4.440
Bi 2.059 2.059 11.446
Br 0.000 0.000 8.910
Br 2.059 2.059 1.904
O 0.000 2.059 5.394
O 0.000 2.059 12.400
O 2.059 0.000 5.394
O 2.059 0.000 12.400


(4)
10
Lattice="-2.033 2.033 13.197 2.033 -2.033 13.197 2.033 2.033 -13.197" Properties=species:S:1:pos:R:3 comment="BaBi2Br2O5 | the Materials Project | GGA-PBE | relaxed" total_energy_ev_per_atom=-4.70 space_group="I4mm, No. 107" pbc="T T T"
Ba 0.000 0.000 0.000
Bi 0.000 0.000 3.684
Bi 0.000 0.000 10.601
Br 0.000 0.000 7.989
Br 0.000 0.000 18.540
O 2.033 0.000 2.518
O 2.033 0.000 11.133
O 0.000 0.000 12.821
O 0.000 2.033 2.518
O 0.000 2.033 11.133


(5)
10
Lattice="0.000 4.319 4.319 4.319 0.000 4.319 4.319 4.319 0.000" Properties=species:S:1:pos:R:3 comment="BaCaEuBiO6 | the Materials Project | GGA-PBE | relaxed" total_energy_ev_per_atom=-6.80 de_polymorph_mev_per_atom=152 space_group="F-43m, No. 216" pbc="T T T"
Ba 0.000 0.000 0.000
Ca 6.478 6.478 6.478
Eu 4.319 4.319 4.319
Bi 2.159 2.159 2.159
O 2.159 2.159 0.069
O 2.159 0.069 2.159
O 4.250 2.159 2.159
O 0.069 2.159 2.159
O 2.159 4.250 2.159
O 2.159 2.159 4.250


(6)
40
Lattice="8.550 0.000 0.000 0.000 8.567 0.000 0.000 0.000 8.589" Properties=species:S:1:pos:R:3 comment="BaCaEuBiO6 | the Materials Project | GGA-PBE | relaxed" total_energy_ev_per_atom=-6.93 de_polymorph_mev_per_atom=17 space_group="Pnnn, No. 48" pbc="T T T"
Ba 2.138 2.142 2.147
Ba 2.138 6.425 6.441
Ba 6.413 2.142 2.147
Ba 6.413 6.425 6.441
Ca 0.000 0.000 0.000
Ca 0.000 4.283 4.294
Ca 4.275 0.000 4.294
Ca 4.275 4.283 0.000
Eu 2.138 2.142 6.441
Eu 2.138 6.425 2.147
Eu 6.413 2.142 6.441
Eu 6.413 6.425 2.147
Bi 0.000 0.000 4.294
Bi 0.000 4.283 0.000
Bi 4.275 0.000 0.000
Bi 4.275 4.283 4.294
O 0.293 2.068 4.013
O 0.293 2.215 0.282
O 0.542 0.363 6.351
O 0.542 3.920 6.532
O 2.046 4.716 0.508
O 2.046 8.134 3.786
O 2.229 4.716 3.786
O 2.229 8.134 0.508
O 3.733 0.363 6.532
O 3.733 3.920 6.351
O 3.982 2.068 0.282
O 3.982 2.215 4.013
O 4.568 6.351 4.576
O 4.568 6.499 8.307
O 4.817 4.646 2.238
O 4.817 8.204 2.056
O 6.321 0.433 8.080
O 6.321 3.850 4.803
O 6.504 0.433 4.803
O 6.504 3.850 8.080
O 8.008 4.646 2.056
O 8.008 8.204 2.238
O 8.257 6.351 8.307
O 8.257 6.499 4.576


(7)
20
Lattice="6.027 0.000 0.000 -0.009 6.135 0.000 -0.047 -0.048 8.622" Properties=species:S:1:pos:R:3 comment="BaCaEuBiO6 | the Materials Project | GGA-PBE | relaxed" total_energy_ev_per_atom=-6.95 de_polymorph_mev_per_atom=0 space_group="P-1, No. 2" pbc="T T T"
Ba 0.024 0.230 2.161
Ba 5.946 5.857 6.461
Ca 2.930 3.346 2.172
Ca 3.041 2.741 6.449
Eu -0.028 3.043 4.311
Eu 3.014 0.000 0.000
Bi -0.005 3.068 0.000
Bi 2.990 -0.024 4.311
O 0.680 3.095 6.567
O 1.191 4.791 0.395
O 1.277 4.864 3.973
O 1.735 1.903 0.555
O 1.873 1.769 3.807
O 2.540 0.354 6.384
O 3.431 5.733 2.238
O 4.098 4.318 4.814
O 4.236 4.184 8.067
O 4.693 1.223 4.649
O 4.780 1.296 8.227
O 5.291 2.992 2.055


(8)
10
Lattice="0.000 4.356 4.356 4.356 0.000 4.356 4.356 4.356 0.000" Properties=species:S:1:pos:R:3 comment="BaCaEuBiO6 | the Materials Project | GGA-PBE | relaxed" total_energy_ev_per_atom=-6.83 de_polymorph_mev_per_atom=115 space_group="F-43m, No. 216" pbc="T T T"
Ba 0.000 0.000 0.000
Ca 4.356 4.356 4.356
Eu 2.178 2.178 2.178
Bi 6.533 6.533 6.533
O 6.533 6.533 4.421
O 6.533 4.421 6.533
O 8.645 6.533 6.533
O 4.421 6.533 6.533
O 6.533 8.645 6.533
O 6.533 6.533 8.645